[1]
Compound: CaMnIrO6
Source: Materials Project
Functional: GGA+U
Structure: relaxed

```
CaMnIrO6
1.0
5.228 0.000 0.000
0.000 5.359 0.000
-5.214 0.000 7.490
Ca Mn Ir O
2 2 2 12
Cartesian
0.000 1.021 0.000
-2.607 4.338 3.745
-2.662 1.375 5.596
-0.055 3.985 1.851
2.545 1.382 1.860
-0.062 3.977 5.605
-1.130 0.237 2.173
-3.737 5.122 5.918
0.974 2.447 1.508
-1.633 2.912 5.253
-1.135 0.233 5.298
1.473 5.126 1.553
-2.215 1.446 7.468
0.393 3.913 3.723
2.077 1.293 3.744
-0.530 4.066 7.489
0.992 2.409 5.955
3.599 2.950 2.210
```

## Properties
Space group = Pc
DFT total energy = -6.64 eV per atom

[2]
Compound: VBO4
Source: Materials Project
Functional: GGA+U
Structure: relaxed

```
VBO4
1.0
5.036 0.000 0.000
0.000 5.047 0.000
-3.881 0.000 10.716
V B O
4 4 16
Cartesian
0.655 1.223 0.785
-1.285 1.301 6.143
2.440 3.746 4.573
0.500 3.824 9.931
-0.133 0.145 3.520
-2.073 2.378 8.878
3.228 2.669 1.839
1.288 4.902 7.197
-1.131 0.272 4.496
-3.072 2.251 9.854
-0.282 0.779 2.328
-2.223 1.745 7.686
-0.741 2.774 5.639
1.200 4.796 0.281
-0.911 3.068 9.167
1.030 4.503 3.809
0.125 0.544 6.907
2.066 1.979 1.549
-0.045 0.251 10.435
1.896 2.273 5.077
3.378 3.302 3.030
1.437 4.268 8.388
4.227 2.796 0.863
2.286 4.775 6.221
```

## Properties
Space group = P2_1/c
DFT total energy = -7.61 eV per atom

[3]
Compound: Li9Mn2Co5O16
Source: Materials Project
Functional: GGA+U
Structure: relaxed

```
Li9Mn2Co5O16
1.0
5.902 0.000 0.000
2.618 5.877 0.000
0.109 0.114 8.112
Li Mn Co O
9 2 5 16
Cartesian
0.000 0.000 0.000
2.675 5.927 3.994
1.375 1.475 1.971
2.915 3.068 8.108
4.260 4.497 6.069
5.624 5.921 3.999
4.420 1.490 1.986
5.726 2.940 0.004
7.224 4.511 6.082
5.679 5.974 8.096
4.481 1.541 6.054
1.493 1.543 6.064
2.851 2.993 4.015
4.148 4.477 1.984
5.799 3.002 4.020
7.164 4.457 1.994
1.526 1.607 4.145
1.626 1.463 7.950
2.885 3.026 2.092
2.947 2.861 5.974
4.160 4.389 3.944
4.244 4.460 0.051
5.482 5.890 1.897
3.148 0.110 6.136
4.388 1.537 7.973
4.471 1.594 4.113
5.751 2.978 5.971
5.840 3.056 2.099
6.991 4.525 0.063
7.122 4.375 3.957
5.930 0.283 6.040
8.465 5.803 2.004
```

## Properties
Energy relative to the lowest polymorph listed for this composition = 25 meV/atom
Space group = P1

[4]
Compound: MgTiVO4
Source: Materials Project
Functional: GGA+U
Structure: relaxed

```
MgTiVO4
1.0
4.228 0.000 0.000
-0.010 4.243 0.000
-2.059 -2.069 4.339
Mg Ti V O
1 1 1 4
Cartesian
0.000 0.000 0.000
1.928 0.245 2.169
0.057 0.045 4.337
0.087 0.056 2.137
2.135 -0.017 0.236
2.109 2.083 2.201
2.179 0.028 4.101
```

## Properties
Energy relative to the lowest polymorph listed for this composition = 0 meV/atom
Space group = P1

[5]
Compound: La3Co2CuO9
Source: Materials Project
Functional: GGA+U
Structure: relaxed

```
La3Co2CuO9
1.0
5.587 0.000 0.000
-2.794 4.839 0.000
0.000 0.000 13.179
La Co Cu O
6 4 2 18
Cartesian
0.000 0.000 3.295
0.000 0.000 9.885
0.000 3.226 1.112
0.000 3.226 7.702
2.794 1.613 5.478
2.794 1.613 12.067
0.000 3.226 4.415
0.000 3.226 11.005
2.794 1.613 2.175
2.794 1.613 8.764
0.000 0.000 0.000
0.000 0.000 6.590
-1.213 2.101 3.295
-1.581 2.738 9.885
-0.355 1.626 12.064
-1.563 3.718 5.474
0.355 1.626 5.474
-1.207 4.333 12.064
1.586 0.506 7.705
1.231 1.121 1.115
2.426 0.000 3.295
1.213 2.101 9.885
3.162 0.000 9.885
1.581 2.738 3.295
1.563 3.718 12.064
1.207 4.333 5.474
4.001 0.506 1.115
2.438 3.212 7.705
4.357 1.121 7.705
3.149 3.212 1.115
```

## Properties
Space group = P-3c1
DFT total energy = -7.05 eV per atom

[6]
Compound: Li3MnV4O12
Source: Materials Project
Functional: GGA+U
Structure: relaxed

```
Li3MnV4O12
1.0
5.841 0.000 0.000
1.955 6.713 0.000
1.914 0.244 6.778
Li Mn V O
3 1 4 12
Cartesian
0.000 0.000 0.000
2.150 2.331 4.417
4.808 3.294 3.724
4.995 1.050 5.773
1.164 2.856 1.086
3.015 5.678 3.806
5.988 4.307 6.582
3.995 0.280 2.544
3.094 4.113 4.481
3.141 1.808 6.741
2.658 3.847 0.884
4.480 5.832 2.831
4.030 1.466 3.862
5.883 5.868 5.953
5.944 3.112 5.363
4.124 0.743 0.866
5.559 3.893 0.795
7.404 5.824 2.811
6.845 0.187 5.043
6.921 2.288 2.651
```

## Properties
Energy relative to the lowest polymorph listed for this composition = 5 meV/atom
Space group = P1